Record 1
Material: Sr2CdCuS2O2
Method: DFT, PBE
State: relaxed

Structure (extended XYZ):
```
8
Lattice="-1.974 1.974 9.748 1.974 -1.974 9.748 1.974 1.974 -9.748" Properties=species:S:1:pos:R:3 pbc="T T T"
Sr 0.000 0.000 1.712
Sr 0.000 0.000 17.784
Cd 0.000 1.974 4.874
Cu 0.000 0.000 9.748
S 0.000 0.000 6.562
S 0.000 0.000 12.935
O 0.000 1.974 0.024
O 0.000 1.974 9.725
```

Properties
Energy of formation from the pure elements ... -1.849 eV/atom

---

Record 2
Material: V4N3
Method: DFT, PBE
State: relaxed

Structure (extended XYZ):
```
7
Lattice="-2.044 2.044 4.014 2.044 -2.044 4.014 2.044 2.044 -4.014" Properties=species:S:1:pos:R:3 pbc="T T T"
V 2.044 0.000 0.000
V 0.000 0.000 1.989
V 0.000 2.044 0.000
V 0.000 0.000 6.040
N 2.044 0.000 2.007
N 0.000 0.000 4.014
N 0.000 2.044 2.007
```

Properties
Energy of formation from the pure elements ... -1.140 eV/atom

---

Record 3
Material: CsLuNb6Cl18
Method: DFT, PBE
State: relaxed

Structure (extended XYZ):
```
52
Lattice="9.406 0.000 0.000 -4.703 8.146 0.000 0.000 0.000 17.507" Properties=species:S:1:pos:R:3 pbc="T T T"
Cs 0.000 5.431 4.377
Cs 4.703 2.715 13.130
Lu 0.000 5.431 13.130
Lu 4.703 2.715 4.377
Nb -0.533 1.607 9.948
Nb -3.578 6.881 16.312
Nb 0.533 1.607 16.312
Nb -3.045 7.804 9.948
Nb 1.658 0.342 1.194
Nb 1.125 1.265 7.559
Nb 3.578 6.881 9.948
Nb 3.045 7.804 16.312
Nb 7.749 0.342 7.559
Nb 4.171 6.539 1.194
Nb 8.281 1.265 1.194
Nb 5.236 6.539 7.559
Cl -0.640 1.907 5.952
Cl -3.372 6.638 2.802
Cl -1.241 3.680 11.612
Cl -2.137 5.231 14.648
Cl -0.657 3.391 0.027
Cl -2.095 5.881 8.727
Cl 0.640 1.907 2.802
Cl -2.732 7.747 5.952
Cl 1.972 0.399 14.705
Cl 1.331 1.508 11.555
Cl 0.657 3.391 8.727
Cl -1.438 7.020 0.027
Cl 1.241 3.680 14.648
Cl -0.896 7.381 11.612
Cl 3.265 1.126 8.780
Cl 2.608 2.265 17.480
Cl 3.808 0.765 2.858
Cl 2.566 2.915 5.895
Cl 2.137 5.231 11.612
Cl 0.896 7.381 14.648
Cl 2.095 5.881 0.027
Cl 1.438 7.020 8.727
Cl 5.599 0.765 5.895
Cl 3.462 4.466 2.858
Cl 6.141 1.126 17.480
Cl 4.046 4.755 8.780
Cl 3.372 6.638 5.952
Cl 2.732 7.747 2.802
Cl 7.435 0.399 11.555
Cl 4.063 6.239 14.705
Cl 6.798 2.265 8.780
Cl 5.360 4.755 17.480
Cl 6.840 2.915 2.858
Cl 5.945 4.466 5.895
Cl 8.075 1.508 14.705
Cl 5.344 6.239 11.555
```

Properties
Energy of formation from the pure elements ... -1.912 eV/atom

---

Record 4
Material: Na4Cu6O5
Method: DFT, PBE
State: relaxed

Structure (extended XYZ):
```
30
Lattice="7.811 0.000 0.000 -3.906 6.765 0.000 0.000 0.000 8.053" Properties=species:S:1:pos:R:3 pbc="T T T"
Na 0.000 0.000 0.000
Na 0.000 0.000 4.026
Na -0.651 2.763 2.013
Na -1.187 5.947 2.013
Na 2.718 0.817 6.039
Na 1.839 4.819 2.013
Na 3.254 4.002 6.039
Na 5.744 1.945 6.039
Cu -1.471 4.819 4.756
Cu -1.471 4.819 7.323
Cu 0.467 3.081 4.756
Cu 0.467 3.081 7.323
Cu 2.435 1.946 0.730
Cu 2.435 1.946 3.296
Cu 1.003 5.629 4.756
Cu 1.003 5.629 7.323
Cu 4.909 1.136 0.730
Cu 4.909 1.136 3.296
Cu 4.373 3.683 0.730
Cu 4.373 3.683 3.296
O -2.683 5.344 6.039
O 0.619 1.769 6.039
O 1.223 1.421 2.013
O 0.000 4.510 0.436
O 0.000 4.510 3.590
O 3.906 2.255 4.463
O 3.906 2.255 7.616
O 2.064 6.416 6.039
O 5.969 0.348 2.013
O 4.525 4.995 2.013
```

Properties
Energy of formation from the pure elements ... -1.069 eV/atom

---

| no. | uncorrected energy (eV per atom) |
| --- | --- |
| 1 | -4.873 |
| 2 | -9.749 |
| 3 | -5.307 |
| 4 | -4.481 |